## CsB12O12 (PBE)

Data for a geometry-optimized CsB12O12 structure.

Output
The space group is R-3m (166). The formation energy comes out at -32.3 eV per formula unit.

a b c (Å): 7.821 7.821 7.821
angles (deg): 73.23 73.23 73.23
Sites, in units of the cell vectors:
Cs (0.000, 0.000, 0.000)
B (0.302, 0.513, 0.302)
B (0.302, 0.302, 0.513)
B (0.513, 0.302, 0.302)
B (0.698, 0.487, 0.698)
B (0.698, 0.698, 0.487)
B (0.487, 0.698, 0.698)
B (0.460, 0.790, 0.460)
B (0.460, 0.460, 0.790)
B (0.790, 0.460, 0.460)
B (0.540, 0.210, 0.540)
B (0.540, 0.540, 0.210)
B (0.210, 0.540, 0.540)
O (0.195, 0.590, 0.195)
O (0.195, 0.195, 0.590)
O (0.590, 0.195, 0.195)
O (0.805, 0.410, 0.805)
O (0.805, 0.805, 0.410)
O (0.410, 0.805, 0.805)
O (0.360, 0.895, 0.360)
O (0.360, 0.360, 0.895)
O (0.895, 0.360, 0.360)
O (0.640, 0.105, 0.640)
O (0.640, 0.640, 0.105)
O (0.105, 0.640, 0.640)

---

## TaPRh (PBE)

Data for a geometry-optimized TaPRh structure.

Output
The space group is Pnma (62). The formation energy comes out at -2.3 eV per formula unit.

a b c (Å): 3.782 6.312 7.213
angles (deg): 90.00 90.00 90.00
Sites, in units of the cell vectors:
Ta (0.250, 0.031, 0.833)
Ta (0.250, 0.531, 0.667)
Ta (0.750, 0.969, 0.167)
Ta (0.750, 0.469, 0.333)
P (0.250, 0.762, 0.374)
P (0.250, 0.262, 0.126)
P (0.750, 0.238, 0.626)
P (0.750, 0.738, 0.874)
Rh (0.250, 0.148, 0.436)
Rh (0.250, 0.648, 0.064)
Rh (0.750, 0.852, 0.564)
Rh (0.750, 0.352, 0.936)